[1]
The following is a PBE+U calculation of a relaxed Li3Ni5O8 crystal, from Materials Project.

Cell: 5.8406 5.8406 14.3697 Å, 90.00 90.00 120.00°
Space group R-3m (No. 166, hexagonal axes)
Inequivalent atoms, fractional coordinates:
Li  0.0000  0.5000  0.0000 x9
Ni  0.0000  0.0000  0.0000 x3
Ni  0.0000  0.0000  0.5000 x3
Ni  0.0000  0.5000  0.5000 x9
O  0.0000  0.0000  0.2382 x6
O  0.0049  0.5025  0.7525 x18

=====

[2]
The following is a PBE+U calculation of a relaxed K2MgFe4P6O16F12 crystal, from Materials Project.

Cell: 7.808 8.022 10.200 Å, 109.47 101.55 92.57°
Space group P1 (No. 1)
Inequivalent atoms, fractional coordinates:
K  0.000  0.000  0.000 x1
K  0.201  0.478  0.552 x1
Mg  0.760  0.432  0.638 x1
Fe  0.109  0.731  0.265 x1
Fe  0.413  0.386  0.106 x1
Fe  0.592  0.194  0.787 x1
Fe  0.787  0.031  0.413 x1
P  0.006  0.417  0.946 x1
P  0.184  0.028  0.589 x1
P  0.376  0.077  0.257 x1
P  0.540  0.632  0.910 x1
P  0.683  0.793  0.608 x1
P  0.822  0.420  0.312 x1
O  0.000  0.601  0.050 x1
O  0.032  0.122  0.541 x1
O  0.178  0.338  0.963 x1
O  0.215  0.859  0.474 x1
O  0.238  0.916  0.211 x1
O  0.324  0.189  0.164 x1
O  0.345  0.159  0.672 x1
O  0.490  0.572  0.020 x1
O  0.565  0.039  0.281 x1
O  0.610  0.508  0.791 x1
O  0.626  0.919  0.729 x1
O  0.642  0.454  0.245 x1
O  0.733  0.821  0.485 x1
O  0.833  0.395  0.456 x1
O  0.847  0.280  0.907 x1
O  0.980  0.543  0.319 x1
F  0.124  0.950  0.702 x1
F  0.304  0.573  0.243 x1
F  0.354  0.206  0.411 x1
F  0.376  0.704  0.836 x1
F  0.508  0.210  0.968 x1
F  0.551  0.610  0.550 x1
F  0.668  0.809  0.981 x1
F  0.689  0.192  0.601 x1
F  0.843  0.706  0.684 x1
F  0.856  0.228  0.211 x1
F  0.911  0.868  0.261 x1
F  0.990  0.462  0.792 x1

=====

The calculation returns the following E values, one per record and in order: -4.917 -6.258 eV per atom.
The calculation returns the following ΔE_f values, one per record and in order: -1.42 -2.68 eV per atom.